VASP calculation (PBE) on crystalline B2Se3O10 at its relaxed geometry.

Structure (extended XYZ):
```
60
Lattice="-3.163 0.102 -3.167 -5.573 -2.303 5.492 -2.721 21.476 6.244" Properties=species:S:1:pos:R:3 pbc="T T T"
O -5.591 9.549 2.000
O -6.475 3.266 4.965
O -8.471 4.436 4.562
O -5.299 18.505 3.806
O -4.141 20.071 5.278
O -7.317 -0.795 3.291
O -2.766 0.612 2.845
O -5.021 17.215 6.508
O -6.043 12.119 6.430
O -4.919 14.221 5.325
O -2.339 3.987 1.002
O -2.412 6.993 2.156
O -9.046 12.282 6.413
O -4.232 2.673 0.490
O -3.663 3.260 2.891
O -5.867 9.727 6.569
O -6.869 10.690 4.632
O -5.008 13.653 3.036
O -9.509 7.025 4.748
O -4.588 8.585 3.937
O -10.008 18.214 8.414
O -9.118 15.288 7.567
O -7.225 16.602 8.079
O -6.437 2.060 2.060
O -4.983 16.009 3.604
O -6.159 0.771 4.763
O -8.692 18.663 5.724
O -1.948 12.250 3.821
O -1.450 1.061 0.155
O -6.840 14.415 7.107
O -4.617 4.860 1.462
O -6.539 5.054 3.244
O -5.415 7.157 2.139
O -6.948 8.178 3.617
O -6.362 20.530 4.541
O -2.987 14.840 4.007
O -5.096 -1.255 4.028
O -7.795 16.015 5.678
O -4.510 11.097 4.952
O -6.450 5.622 5.533
Se -5.899 2.109 0.531
Se -6.537 13.573 5.612
Se -7.506 1.873 4.785
Se -6.594 5.438 7.278
Se -3.952 17.403 3.784
Se -4.590 20.891 6.761
Se -4.921 5.702 2.957
Se -6.868 -1.616 1.808
Se -4.863 13.838 1.291
Se -5.558 17.166 8.038
Se -7.888 9.263 4.594
Se -3.570 10.012 3.975
B -4.470 14.661 3.997
B -5.800 10.884 5.651
B -6.988 4.614 4.572
B -5.658 8.391 2.918
B -5.074 19.932 4.125
B -6.383 -0.657 4.444
B -7.756 15.597 7.111
B -3.702 3.679 1.458
```

Values from the calculation:
Final energy (eV/atom): -6.085

VASP calculation (PBE) on crystalline SiBO3 at its relaxed geometry.

Structure (extended XYZ):
```
5
Lattice="3.336 0.000 0.000 0.000 3.336 0.000 0.000 0.000 3.336" Properties=species:S:1:pos:R:3 pbc="T T T"
O 1.668 1.668 0.000
O 1.668 0.000 1.668
O 0.000 1.668 1.668
Si 0.000 0.000 0.000
B 1.668 1.668 1.668
```

Values from the calculation:
Final energy (eV/atom): -5.966

VASP calculation (PBE) on crystalline SiBO3 at its relaxed geometry.

Structure (extended XYZ):
```
5
Lattice="3.503 0.000 0.000 0.000 3.503 0.000 0.000 0.000 3.503" Properties=species:S:1:pos:R:3 pbc="T T T"
O 1.751 0.000 0.000
O 0.000 1.751 0.000
O 0.000 0.000 1.751
B 1.751 1.751 1.751
Si 0.000 0.000 0.000
```

Values from the calculation:
Final energy (eV/atom): -5.977

VASP calculation (PBE) on crystalline Si2B2O5 at its relaxed geometry.

Structure (extended XYZ):
```
9
Lattice="3.405 0.000 0.000 0.000 3.405 0.000 0.000 0.000 6.804" Properties=species:S:1:pos:R:3 pbc="T T T"
O 1.703 1.703 3.402
O 1.703 0.000 1.579
O 1.703 0.000 5.226
O 0.000 1.703 1.579
O 0.000 1.703 5.226
Si 0.000 0.000 3.402
Si 0.000 0.000 0.000
B 1.703 1.703 1.960
B 1.703 1.703 4.844
```

Values from the calculation:
Final energy (eV/atom): -6.073

VASP calculation (PBE) on crystalline Sm3Si2BO10 at its relaxed geometry.

Structure (extended XYZ):
```
128
Lattice="7.079 0.000 0.000 0.000 9.789 0.000 0.000 0.000 23.110" Properties=species:S:1:pos:R:3 pbc="T T T"
O 2.356 8.432 22.938
O 4.578 7.586 9.004
O 1.212 4.424 14.037
O 3.817 4.552 13.862
O 0.941 8.826 6.669
O 5.320 2.356 9.681
O 5.320 7.250 1.874
O 5.867 0.471 2.482
O 5.867 5.365 9.073
O 0.258 3.826 7.592
O 6.041 2.691 14.106
O 4.137 8.565 11.762
O 4.410 6.425 16.427
O 2.502 7.097 20.559
O 1.760 2.538 21.236
O 2.943 6.118 0.208
O 4.578 2.691 2.551
O 2.669 8.258 4.873
O 1.183 8.432 11.383
O 0.277 0.343 13.862
O 2.081 1.039 16.679
O 3.798 1.069 7.592
O 1.459 5.933 6.430
O 6.139 0.962 16.441
O 3.282 3.826 19.147
O 4.752 0.471 14.037
O 2.081 5.933 17.985
O 6.821 5.963 15.517
O 2.669 3.363 6.682
O 1.183 3.538 0.172
O 1.780 7.433 1.874
O 6.209 1.531 6.682
O 1.459 1.039 5.124
O 2.502 2.203 14.106
O 5.896 1.356 11.727
O 0.941 3.932 4.886
O 4.480 0.962 4.886
O 4.137 3.670 22.902
O 5.620 8.750 17.985
O 2.356 3.538 11.727
O 2.599 3.932 16.441
O 5.299 2.356 21.236
O 4.410 1.531 18.237
O 0.597 1.224 22.902
O 0.258 8.720 3.962
O 6.139 5.857 18.224
O 0.871 3.363 18.237
O 2.328 4.424 2.482
O 6.041 7.586 20.559
O 3.817 9.446 20.802
O 4.723 1.356 0.172
O 1.760 7.433 13.428
O 0.277 5.237 20.802
O 2.599 8.826 18.224
O 6.821 1.069 19.147
O 3.263 0.343 2.307
O 3.282 8.720 15.517
O 5.896 6.250 22.938
O 2.943 1.224 11.347
O 0.597 6.118 11.762
O 6.209 6.425 4.873
O 4.999 8.750 6.430
O 3.263 5.237 9.248
O 6.482 3.670 11.347
O 4.752 5.365 20.628
O 4.999 3.855 5.124
O 1.038 7.097 9.004
O 5.299 7.250 13.428
O 6.802 9.446 9.248
O 3.798 5.963 3.962
O 1.780 2.538 9.681
O 4.480 5.857 6.669
O 6.482 8.565 0.208
O 5.620 3.855 16.679
O 6.802 4.552 2.307
O 1.038 2.203 2.551
O 4.723 6.250 11.383
O 0.871 8.258 16.427
O 2.328 9.318 9.073
O 1.212 9.318 20.628
Si 1.329 9.186 5.100
Si 6.063 6.098 21.290
Si 2.523 3.690 13.375
Si 5.750 0.603 18.010
Si 4.869 5.497 5.100
Si 1.016 8.585 9.735
Si 5.750 5.497 16.655
Si 2.523 8.585 21.290
Si 4.556 1.204 1.820
Si 2.211 4.291 18.010
Si 4.556 6.098 9.735
Si 1.329 4.291 6.455
Si 4.869 0.603 6.455
Si 6.063 1.204 13.375
Si 2.211 9.186 16.655
Si 1.016 3.690 1.820
Sm 2.577 4.794 21.451
Sm 6.116 4.995 13.213
Sm 6.424 7.167 7.338
Sm 0.655 2.622 15.772
Sm 4.195 7.167 18.893
Sm 6.116 0.100 21.451
Sm 0.963 9.688 1.659
Sm 2.253 6.204 15.349
Sm 5.793 8.479 15.349
Sm 2.885 2.622 4.217
Sm 4.826 8.479 3.794
Sm 4.826 3.584 7.761
Sm 0.963 4.794 9.896
Sm 2.253 1.310 19.316
Sm 0.655 7.516 18.893
Sm 6.424 2.273 4.217
Sm 5.793 3.584 19.316
Sm 2.577 9.688 13.213
Sm 1.286 1.310 7.761
Sm 1.286 6.204 3.794
Sm 4.503 0.100 9.896
Sm 4.195 2.273 15.772
Sm 2.885 7.516 7.338
Sm 4.503 4.995 1.659
B 4.706 2.528 22.459
B 2.373 2.367 10.904
B 1.167 2.367 22.459
B 5.913 2.528 10.904
B 4.706 7.422 12.206
B 5.913 7.422 0.651
B 1.167 7.261 12.206
B 2.373 7.261 0.651
```

Values from the calculation:
Final energy (eV/atom): -8.236

VASP calculation (PBE) on crystalline SrSi2B2O8 at its relaxed geometry.

Structure (extended XYZ):
```
52
Lattice="7.986 0.000 0.000 0.000 8.288 0.000 0.000 0.000 9.032" Properties=species:S:1:pos:R:3 pbc="T T T"
O 4.100 1.642 8.442
O 0.574 3.402 6.153
O 4.267 5.272 7.753
O 3.419 3.402 6.153
O 0.574 7.546 7.396
O 0.274 3.016 1.279
O 4.267 1.128 5.796
O 1.997 0.027 1.571
O 3.886 2.502 3.926
O 5.990 6.638 3.744
O 4.567 0.742 1.637
O 4.567 4.886 2.880
O 3.719 7.160 3.237
O 1.997 4.171 2.945
O 4.100 5.786 5.106
O 5.990 8.261 7.462
O 7.412 4.886 2.880
O 5.990 2.494 0.772
O 7.712 1.128 5.796
O 0.107 2.502 3.926
O 7.880 1.642 8.442
O 3.419 7.546 7.396
O 1.997 5.794 8.260
O 0.274 7.160 3.237
O 0.107 6.646 0.590
O 7.712 5.272 7.753
O 3.719 3.016 1.279
O 5.990 4.117 6.087
O 1.997 1.650 5.288
O 7.412 0.742 1.637
O 7.880 5.786 5.106
O 3.886 6.646 0.590
Si 3.532 3.626 2.794
Si 4.454 4.662 6.239
Si 3.532 7.770 1.722
Si 4.454 0.518 7.310
Si 0.461 3.626 2.794
Si 0.461 7.770 1.722
Si 7.526 0.518 7.310
Si 7.526 4.662 6.239
B 7.335 6.072 3.745
B 7.335 1.928 0.771
B 3.342 6.360 8.261
B 3.342 2.216 5.287
B 0.651 2.216 5.287
B 4.644 6.072 3.745
B 0.651 6.360 8.261
B 4.644 1.928 0.771
Sr 1.997 7.390 5.207
Sr 5.990 5.042 0.690
Sr 5.990 0.898 3.826
Sr 1.997 3.246 8.342
```

Values from the calculation:
Final energy (eV/atom): -7.822

VASP calculation (PBE) on crystalline SmBO3 at its relaxed geometry.

Structure (extended XYZ):
```
10
Lattice="-2.181 2.925 1.763 -1.966 -2.590 -2.418 -1.515 -5.281 6.888" Properties=species:S:1:pos:R:3 pbc="T T T"
O -4.177 -0.828 1.265
O -2.288 0.550 1.123
O -3.405 -5.493 5.105
O -2.722 -0.962 3.094
O -2.972 -3.982 3.134
O -4.920 -3.841 4.426
Sm -0.232 0.019 -0.037
Sm -0.990 -2.622 3.407
B -3.011 -0.400 1.849
B -3.713 -4.460 4.217
```

Values from the calculation:
Maximum piezoelectric response (C/m²): 1.43
Final energy (eV/atom): -8.264

VASP calculation (PBE) on crystalline SmBO3 at its relaxed geometry.

Structure (extended XYZ):
```
20
Lattice="-0.546 1.105 -4.118 0.616 -7.659 2.351 -8.797 -0.381 1.063" Properties=species:S:1:pos:R:3 pbc="T T T"
O -0.902 -2.246 -0.214
O -1.669 -7.385 2.037
O -5.342 -4.581 -0.790
O -0.660 -5.943 0.467
O -2.355 -2.790 -1.990
O -8.066 -0.992 -1.171
O -3.142 -6.051 0.767
O -5.584 -0.884 -1.472
O -6.371 -4.145 1.286
O -7.057 0.450 -2.741
O -7.824 -4.689 -0.490
O -3.385 -2.354 0.086
B -6.517 -4.494 -0.041
B -6.898 -0.516 -1.769
B -1.829 -6.419 1.065
B -2.210 -2.441 -0.663
Sm 0.000 0.000 0.000
Sm -4.398 -0.190 0.532
Sm 0.308 -3.830 1.175
Sm -4.090 -4.020 1.707
```

Values from the calculation:
Final energy (eV/atom): -8.288

VASP calculation (PBE) on crystalline Sm3B5O12 at its relaxed geometry.

Structure (extended XYZ):
```
80
Lattice="-0.756 -6.493 -0.196 0.357 -0.285 8.067 -17.464 2.008 0.843" Properties=species:S:1:pos:R:3 pbc="T T T"
B -4.629 -3.619 0.884
B -0.496 -1.953 1.976
B -17.367 -2.817 6.738
B -4.496 -0.418 3.423
B -13.342 -1.064 5.406
B -4.522 -3.705 3.308
B -8.883 -4.278 2.265
B -15.514 -1.070 6.718
B -13.368 -4.351 5.291
B -13.261 -4.437 7.715
B -0.412 -2.296 6.006
B -8.980 -0.491 6.449
B -11.139 -4.862 6.390
B -6.725 0.093 2.324
B -2.349 -3.700 1.996
B -17.451 -2.474 2.708
B -4.603 -0.333 0.999
B -8.659 -4.637 6.288
B -9.205 -0.132 2.426
B -13.235 -1.150 7.830
Sm -15.747 1.543 0.921
Sm -10.709 -2.438 4.264
Sm -5.869 -6.021 6.116
Sm -10.873 -2.307 0.569
Sm -7.154 -2.332 4.450
Sm -14.417 -1.760 2.599
Sm -3.447 -3.009 6.115
Sm -2.116 -6.313 7.793
Sm -11.995 1.251 2.598
Sm -15.584 1.412 4.616
Sm -6.991 -2.462 8.145
Sm -2.280 -6.182 4.098
O -17.583 -3.631 7.930
O -17.010 -1.185 2.734
O -12.687 -1.496 6.578
O -12.848 -0.908 0.887
O -9.922 -4.008 6.367
O -15.977 -2.361 6.693
O -13.990 -4.636 6.524
O -11.879 -4.417 7.663
O -1.886 -2.409 2.021
O -3.180 -4.039 3.245
O -8.915 -3.509 3.505
O -12.701 -1.026 4.221
O -7.635 -5.037 2.183
O -0.174 -1.224 3.199
O -1.362 -4.808 1.913
O -3.216 -5.182 6.028
O -5.877 -0.439 3.492
O -5.836 -1.591 6.271
O -14.647 0.412 2.686
O -14.094 -4.156 4.171
O -16.472 -3.440 2.630
O -3.288 -3.953 0.805
O -3.622 -0.732 7.876
O -7.483 -3.919 6.262
O -11.986 -4.330 5.222
O -8.949 -1.261 5.209
O -5.177 -3.273 2.136
O -10.229 0.268 6.531
O -7.769 0.500 6.431
O -12.027 -3.179 2.443
O -14.575 -0.817 7.909
O -10.380 -0.850 2.452
O -8.842 -1.346 7.624
O -0.281 -1.139 0.784
O -14.683 -0.730 5.469
O -3.770 -0.614 4.543
O -0.854 -3.585 5.980
O -1.392 -1.330 6.084
O -17.690 -3.546 5.515
O -9.021 -3.423 1.090
O -5.016 -3.861 7.827
O -14.242 -4.038 0.838
O -16.502 0.039 6.801
O -5.163 -3.743 4.493
O -7.941 -0.762 2.347
O -3.874 -0.133 2.190
O -5.985 -0.353 1.051
O -10.094 -5.269 2.283
```

Values from the calculation:
Final energy (eV/atom): -8.189